Entry 1:
# NdH3C3O6 PBE-GGA optimized geometry
data_NdH3C3O6
_chemical_formula_sum 'Nd3 H9 C9 O18'
_cell_length_a 10.7002
_cell_length_b 10.7002
_cell_length_c 4.1224
_cell_angle_alpha 90.00
_cell_angle_beta 90.00
_cell_angle_gamma 120.00
_space_group_name_H-M_alt 'R 3 m'
_space_group_IT_number 160
_space_group_name_Hall 'R 3 -2"'
loop_
_atom_site_label
_atom_site_fract_x
_atom_site_fract_y
_atom_site_fract_z
Nd1 0.0000 0.0000 0.0000
H1 0.1720 0.3441 0.2066
C1 0.0270 0.5135 0.1274
O1 0.0848 0.1696 0.5050
O2 0.1995 0.3989 0.6858
# Density: 3.40 g/cm³
# ΔH_f (0 K): -2202 kJ/mol of formula units
# Largest piezoelectric modulus: 0.29 C/m²
# Calculated volume: 409 Å³ per cell

=====

Entry 2:
# NdH6C3O9 PBE-GGA optimized geometry
data_NdH6C3O9
_chemical_formula_sum 'Nd2 H12 C6 O18'
_cell_length_a 6.089
_cell_length_b 7.734
_cell_length_c 8.929
_cell_angle_alpha 99.07
_cell_angle_beta 98.14
_cell_angle_gamma 97.73
_space_group_name_H-M_alt 'P -1'
_space_group_IT_number 2
_space_group_name_Hall '-P 1'
loop_
_atom_site_label
_atom_site_fract_x
_atom_site_fract_y
_atom_site_fract_z
Nd1 0.010 0.306 0.296
H1 0.046 0.371 0.860
H2 0.208 0.682 0.222
H3 0.352 0.749 0.004
H4 0.376 0.953 0.284
H5 0.421 0.114 0.789
H6 0.450 0.659 0.857
C1 0.078 0.067 0.967
C2 0.119 0.983 0.486
C3 0.445 0.529 0.571
O1 0.065 0.603 0.220
O2 0.125 0.225 0.042
O3 0.146 0.009 0.844
O4 0.196 0.861 0.544
O5 0.219 0.082 0.407
O6 0.231 0.500 0.552
O7 0.312 0.672 0.902
O8 0.416 0.857 0.209
O9 0.425 0.398 0.307
# Density: 2.70 g/cm³
# ΔH_f (0 K): -3232 kJ/mol of formula units
# Calculated volume: 406 Å³ per cell

=====

Which of these has the lowest calculated volume?
NdH6C3O9

=====

density of number 1 (NdH3C3O6)?
3.40 g/cm³

=====

What did the first record say?
# NdH3C3O6 PBE-GGA optimized geometry
data_NdH3C3O6
_chemical_formula_sum 'Nd3 H9 C9 O18'
_cell_length_a 10.7002
_cell_length_b 10.7002
_cell_length_c 4.1224
_cell_angle_alpha 90.00
_cell_angle_beta 90.00
_cell_angle_gamma 120.00
_space_group_name_H-M_alt 'R 3 m'
_space_group_IT_number 160
_space_group_name_Hall 'R 3 -2"'
loop_
_atom_site_label
_atom_site_fract_x
_atom_site_fract_y
_atom_site_fract_z
Nd1 0.0000 0.0000 0.0000
H1 0.1720 0.3441 0.2066
C1 0.0270 0.5135 0.1274
O1 0.0848 0.1696 0.5050
O2 0.1995 0.3989 0.6858
# Density: 3.40 g/cm³
# ΔH_f (0 K): -2202 kJ/mol of formula units
# Largest piezoelectric modulus: 0.29 C/m²
# Calculated volume: 409 Å³ per cell